The following is a PBE with a Hubbard U calculation of CsMg14CrO16 after structural relaxation, from the Materials Project database.

a b c (Å): 4.4425 8.7849 8.8244
angles (deg): 90.00 90.00 90.00
With the nearest neighbours (Å) after each atom.
Fractional positions:
1 Cs 0.0000 0.0000 0.0000  2 O 2.22
2 Mg 0.0000 0.5000 0.0000  2 O 1.88
3 Mg 0.0000 0.5000 0.5000  6 O 2.11-2.22
4 Mg 0.5000 0.0000 0.2602  6 O 2.12-2.30
5 Mg 0.5000 0.0000 0.7398  6 O 2.12-2.30
6 Mg 0.5000 0.5000 0.2510  6 O 2.20-2.22
7 Mg 0.5000 0.5000 0.7490  6 O 2.20-2.22
8 Mg 0.5000 0.2640 0.0000  6 O 2.07-2.32
9 Mg 0.5000 0.2519 0.5000  6 O 2.18-2.22
10 Mg 0.5000 0.7360 0.0000  6 O 2.07-2.32
11 Mg 0.5000 0.7481 0.5000  6 O 2.18-2.22
12 Mg 0.0000 0.2570 0.2520  6 O 2.14-2.27
13 Mg 0.0000 0.2570 0.7480  6 O 2.14-2.27
14 Mg 0.0000 0.7430 0.2520  6 O 2.14-2.27
15 Mg 0.0000 0.7430 0.7480  6 O 2.14-2.27
16 Cr 0.0000 0.0000 0.5000  2 O 1.92
17 O 0.0000 0.2857 0.0000  1 Mg 1.88
18 O 0.0000 0.2491 0.5000  1 Cr 2.19, 5 Mg 2.19-2.22
19 O 0.0000 0.7143 0.0000  1 Mg 1.88
20 O 0.0000 0.7509 0.5000  1 Cr 2.19, 5 Mg 2.19-2.22
21 O 0.5000 0.2489 0.2500  6 Mg 2.19-2.22
22 O 0.5000 0.2489 0.7500  6 Mg 2.19-2.22
23 O 0.5000 0.7511 0.2500  6 Mg 2.19-2.22
24 O 0.5000 0.7511 0.7500  6 Mg 2.19-2.22
25 O 0.5000 0.0000 0.0000  2 Cs 2.22, 4 Mg 2.30-2.32
26 O 0.5000 0.0000 0.5000  4 Mg 2.12-2.21, 2 Cr 2.22
27 O 0.5000 0.5000 0.0000  6 Mg 2.07-2.22
28 O 0.5000 0.5000 0.5000  6 Mg 2.18-2.22
29 O 0.0000 0.0000 0.2827  1 Cr 1.92
30 O 0.0000 0.0000 0.7173  1 Cr 1.92
31 O 0.0000 0.5000 0.2614  6 Mg 2.11-2.31
32 O 0.0000 0.5000 0.7386  6 Mg 2.11-2.31

Results
Raw total energy: -184.3 eV/cell
Energy with MP2020 corrections: -6.165 eV per atom